The following is a DFT calculation (PBE+U) of an optimized crystal structure of Li2TiFe3O8.

abc: 5.9846 5.9854 5.9856
angles: 60.01 60.02 60.03
With the nearest neighbours (Å) after each atom.
Fractional positions:
Fe  0.0001  0.4999  0.4999  6 O 2.01-2.04
Fe  0.4999  0.9999  0.5002  6 O 2.01-2.04
Fe  0.4999  0.5000  0.0000  6 O 2.01-2.04
Li  0.1256  0.1256  0.1256  4 O 2.01
Li  0.8744  0.8744  0.8744  4 O 2.01
O  0.7143  0.2656  0.2656  1 Ti 1.99, 1 Li 2.01, 2 Fe 2.04
O  0.7370  0.7371  0.7371  3 Fe 2.01, 1 Li 2.01
O  0.2857  0.7344  0.7344  1 Ti 1.99, 1 Li 2.01, 2 Fe 2.04
O  0.2630  0.2629  0.2629  3 Fe 2.01, 1 Li 2.01
O  0.2656  0.7143  0.2657  1 Ti 1.99, 1 Li 2.01, 2 Fe 2.04
O  0.7344  0.7343  0.2857  1 Ti 1.99, 1 Li 2.01, 2 Fe 2.04
O  0.2656  0.2657  0.7143  1 Ti 1.99, 1 Li 2.01, 2 Fe 2.04
O  0.7344  0.2857  0.7343  1 Ti 1.99, 1 Li 2.01, 2 Fe 2.04
Ti  0.5000  0.5000  0.5000  6 O 1.99

V in A^3/atom: 10.8
Space group: R-3m (166)
E_form in eV/atom: -2.147

=====

The following is a DFT calculation (PBE+U) of an optimized crystal structure of Li2TiFe3O8.

abc: 5.9943 5.9634 10.4002
angles: 107.11 90.45 60.24
With the nearest neighbours (Å) after each atom.
Fractional positions:
Fe  0.2488  0.0003  0.7511  6 O 1.91-2.12
Fe  0.7485  0.0027  0.7501  6 O 2.02-2.06
Fe  0.0062  0.9917  0.4984  6 O 2.01-2.09
Fe  0.7509  0.9987  0.2497  6 O 2.03-2.06
Fe  0.4931  0.0060  0.0009  6 O 2.03-2.08
Fe  0.2504  0.9997  0.2503  6 O 1.94-2.08
O  0.6354  0.7449  0.6408  1 Ti 1.95, 2 Fe 2.03-2.12, 1 Li 2.03
O  0.8623  0.2575  0.8595  1 Ti 1.97, 2 Fe 2.02-2.12, 1 Li 2.03
O  0.9119  0.2056  0.3663  3 Fe 1.94-2.05, 1 Li 2.02
O  0.1131  0.2374  0.6395  2 Fe 1.95-2.09, 1 Ti 2.01, 1 Li 2.03
O  0.6599  0.2404  0.6303  1 Ti 1.99, 1 Li 1.99, 2 Fe 2.03-2.04
O  0.3802  0.2104  0.8633  3 Fe 1.91-2.06, 1 Li 2.04
O  0.8388  0.7608  0.8698  1 Ti 1.98, 1 Li 1.98, 2 Fe 2.04-2.05
O  0.3854  0.7631  0.8601  2 Fe 1.93-2.08, 1 Li 2.03, 1 Ti 2.05
O  0.1482  0.2533  0.1325  1 Ti 1.96, 1 Li 2.00, 2 Fe 2.04-2.08
O  0.9026  0.7512  0.3659  1 Li 1.99, 1 Ti 1.99, 2 Fe 2.01-2.04
O  0.5895  0.7936  0.1338  3 Fe 1.95-2.04, 1 Li 2.02
O  0.1166  0.7912  0.6375  3 Fe 1.92-2.06, 1 Li 2.04
O  0.3527  0.7462  0.3671  1 Ti 1.96, 1 Li 2.00, 2 Fe 2.04-2.07
O  0.1260  0.7606  0.1430  2 Fe 1.99-2.06, 1 Ti 2.02, 1 Li 2.05
O  0.3758  0.2381  0.3568  2 Fe 1.98-2.06, 1 Ti 2.02, 1 Li 2.05
O  0.5995  0.2465  0.1346  1 Ti 1.97, 1 Li 2.00, 2 Fe 2.03
Li  0.6951  0.6204  0.4339  4 O 1.99-2.03
Li  0.3182  0.3740  0.5664  4 O 1.99-2.05
Li  0.1797  0.6279  0.9343  4 O 1.98-2.05
Li  0.8059  0.3793  0.0661  4 O 2.00-2.03
Ti  0.2525  0.4985  0.2496  6 O 1.96-2.02
Ti  0.7529  0.5000  0.7483  6 O 1.95-2.05

V in A^3/atom: 10.9
Space group: P1 (1)
E_form in eV/atom: -2.149

=====

The following is a DFT calculation (PBE+U) of an optimized crystal structure of Li3TiFe3O8.

abc: 5.9786 6.0159 8.4767
angles: 89.41 90.00 90.00
With the nearest neighbours (Å) after each atom.
Fractional positions:
Ti  0.5001  0.5000  0.5000  6 O 1.97
Ti  0.0001  0.0000  0.0000  6 O 1.97
O  0.9998  0.5176  0.2587  3 Fe 2.05, 3 Li 2.20
O  0.2600  0.7253  0.4926  1 Ti 1.97, 2 Fe 2.06, 2 Li 2.19
O  0.7600  0.7747  0.0074  1 Ti 1.97, 2 Fe 2.06, 2 Li 2.19
O  0.2401  0.2251  0.9925  1 Ti 1.97, 2 Fe 2.06, 2 Li 2.19
O  0.4998  0.0176  0.7587  3 Fe 2.05, 3 Li 2.20
O  0.7401  0.2749  0.5075  1 Ti 1.97, 2 Fe 2.06, 2 Li 2.19
O  0.5001  0.4850  0.7325  1 Ti 1.97, 2 Fe 2.06, 2 Li 2.19
O  0.7600  0.2253  0.9926  1 Ti 1.97, 2 Fe 2.06, 2 Li 2.19
O  0.2600  0.2747  0.5074  1 Ti 1.97, 2 Fe 2.06, 2 Li 2.19
O  0.7401  0.7251  0.4925  1 Ti 1.97, 2 Fe 2.06, 2 Li 2.19
O  0.5001  0.5150  0.2675  1 Ti 1.97, 2 Fe 2.06, 2 Li 2.19
O  0.2401  0.7749  0.0075  1 Ti 1.97, 2 Fe 2.06, 2 Li 2.19
O  0.0001  0.9850  0.2325  1 Ti 1.97, 2 Fe 2.06, 2 Li 2.19
O  0.4998  0.9824  0.2413  3 Fe 2.05, 3 Li 2.20
O  0.0001  0.0150  0.7675  1 Ti 1.97, 2 Fe 2.06, 2 Li 2.19
O  0.9998  0.4824  0.7413  3 Fe 2.05, 3 Li 2.20
Li  0.2500  0.7500  0.7500  6 O 2.19-2.20
Li  0.2500  0.2500  0.2500  6 O 2.19-2.20
Li  0.5000  0.0000  0.5000  6 O 2.19-2.20
Li  0.7500  0.2500  0.2500  6 O 2.19-2.20
Li  0.0000  0.5000  0.0000  6 O 2.19-2.20
Li  0.7500  0.7500  0.7500  6 O 2.19-2.20
Fe  0.2500  0.7500  0.2500  6 O 2.05-2.06
Fe  0.7500  0.2500  0.7500  6 O 2.05-2.06
Fe  0.5000  0.0000  0.0000  6 O 2.05-2.06
Fe  0.0000  0.5000  0.5000  6 O 2.05-2.06
Fe  0.2500  0.2500  0.7500  6 O 2.05-2.06
Fe  0.7500  0.7500  0.2500  6 O 2.05-2.06

V in A^3/atom: 10.2
E_form in eV/atom: -2.226

=====

The following is a DFT calculation (PBE+U) of an optimized crystal structure of Li2TiFe2O5.

abc: 9.5043 4.2111 5.0411
angles: 65.32 88.46 90.02
With the nearest neighbours (Å) after each atom.
Fractional positions:
Fe  0.2108  0.3875  0.2259  6 O 2.09-2.29
Fe  0.8000  0.6001  0.7999  6 O 2.11-2.13
Fe  0.3002  0.0997  0.8006  6 O 2.11-2.14
Fe  0.3889  0.8126  0.3737  6 O 2.09-2.29
O  0.6020  0.7011  0.5964  2 Li 2.01, 2 Ti 2.10-2.12, 1 Fe 2.12
O  0.9980  0.4990  0.0036  2 Li 2.01, 2 Ti 2.10-2.12, 1 Fe 2.13
O  0.3000  0.6000  0.8001  4 Fe 2.10-2.11, 2 Li 2.16
O  0.6988  0.3903  0.2193  1 Ti 1.88
O  0.8001  0.1001  0.8000  2 Li 2.05, 2 Ti 2.08, 2 Fe 2.11
O  0.9012  0.8098  0.3806  1 Ti 1.88
O  0.4191  0.3011  0.3970  1 Li 2.00, 1 Ti 2.03, 4 Fe 2.13-2.15
O  0.1808  0.8989  0.2031  1 Li 2.00, 1 Ti 2.03, 4 Fe 2.13-2.15
O  0.5039  0.0113  0.9771  1 Ti 2.01, 2 Fe 2.09-2.12, 3 Li 2.11-2.14
O  0.0964  0.1887  0.6230  1 Ti 2.01, 2 Fe 2.09-2.12, 3 Li 2.11-2.14
Li  0.6985  0.8998  0.2009  6 O 2.01-2.14
Li  0.0956  0.6957  0.6084  6 O 2.00-2.16
Li  0.5045  0.5043  0.9916  6 O 2.00-2.16
Li  0.9014  0.3002  0.3991  6 O 2.01-2.14
Ti  0.9913  0.9931  0.0104  5 O 1.88-2.10
Ti  0.6086  0.2068  0.5893  5 O 1.88-2.10

V in A^3/atom: 9.2
Space group: P-1 (2)
E_form in eV/atom: -2.299

=====

The following is a DFT calculation (PBE+U) of an optimized crystal structure of Li2TiFe3O8.

abc: 5.9351 5.9351 9.5857
angles: 90.00 90.00 120.00
With the nearest neighbours (Å) after each atom.
Fractional positions:
Li  0.0000  0.0000  0.9946  4 O 1.81-1.98
Li  0.0000  0.0000  0.4946  4 O 1.81-1.98
Li  0.6667  0.3333  0.3956  4 O 1.98-2.00
Li  0.3333  0.6667  0.8956  4 O 1.98-2.00
O  0.3333  0.6667  0.1043  3 Fe 1.98, 1 Li 2.00
O  0.5193  0.0385  0.8429  1 Li 1.98, 2 Fe 2.01, 1 Ti 2.10
O  0.8315  0.6630  0.0950  1 Ti 1.95, 1 Li 1.98, 2 Fe 2.09
O  0.1685  0.8315  0.5950  1 Ti 1.95, 1 Li 1.98, 2 Fe 2.09
O  0.1685  0.3370  0.5950  1 Ti 1.95, 1 Li 1.98, 2 Fe 2.09
O  0.4807  0.5193  0.3429  1 Li 1.98, 2 Fe 2.01, 1 Ti 2.10
O  0.0000  0.0000  0.3063  1 Li 1.81, 3 Fe 1.96
O  0.5193  0.4807  0.8429  1 Li 1.98, 2 Fe 2.01, 1 Ti 2.10
O  0.9615  0.4807  0.8429  1 Li 1.98, 2 Fe 2.01, 1 Ti 2.10
O  0.8315  0.1685  0.0950  1 Ti 1.95, 1 Li 1.98, 2 Fe 2.09
O  0.0385  0.5193  0.3429  1 Li 1.98, 2 Fe 2.01, 1 Ti 2.10
O  0.6630  0.8315  0.5950  1 Ti 1.95, 1 Li 1.98, 2 Fe 2.09
O  0.4807  0.9615  0.3429  1 Li 1.98, 2 Fe 2.01, 1 Ti 2.10
O  0.0000  0.0000  0.8063  1 Li 1.81, 3 Fe 1.96
O  0.3370  0.1685  0.0950  1 Ti 1.95, 1 Li 1.98, 2 Fe 2.09
O  0.6667  0.3333  0.6043  3 Fe 1.98, 1 Li 2.00
Fe  0.1709  0.3418  0.2152  6 O 1.96-2.09
Fe  0.8291  0.6582  0.7152  6 O 1.96-2.09
Fe  0.1709  0.8291  0.2152  6 O 1.96-2.09
Fe  0.3418  0.1709  0.7152  6 O 1.96-2.09
Fe  0.6582  0.8291  0.2152  6 O 1.96-2.09
Fe  0.8291  0.1709  0.7152  6 O 1.96-2.09
Ti  0.6667  0.3333  0.9948  6 O 1.95-2.10
Ti  0.3333  0.6667  0.4948  6 O 1.95-2.10

V in A^3/atom: 10.4
Space group: P6_3mc (186)
E_form in eV/atom: -2.138

=====

The following is a DFT calculation (PBE+U) of an optimized crystal structure of Li2TiFe2O5.

abc: 5.1390 5.1363 7.9818
angles: 84.25 71.22 71.87
With the nearest neighbours (Å) after each atom.
Fractional positions:
Fe  0.4987  0.4962  0.0075  6 O 2.12-2.27
Fe  0.2965  0.5035  0.4063  6 O 2.10-2.22
Fe  0.4062  0.9962  0.1925  6 O 2.12-2.27
Fe  0.6028  0.0035  0.7937  6 O 2.10-2.22
O  0.4523  0.2494  0.5982  2 Li 2.08, 2 Fe 2.10, 2 Ti 2.15-2.20
O  0.5639  0.7650  0.4013  1 Ti 1.94, 3 Li 2.12-2.14
O  0.6570  0.2441  0.2109  1 Ti 1.99, 2 Li 2.06-2.20, 3 Fe 2.12-2.18
O  0.8653  0.2650  0.7986  1 Ti 1.94, 3 Li 2.12-2.14
O  0.7679  0.7441  0.9891  1 Ti 1.99, 2 Li 2.06-2.20, 3 Fe 2.12-2.18
O  0.9505  0.7493  0.6018  2 Li 2.08, 2 Fe 2.10, 2 Ti 2.15-2.20
O  0.0456  0.2282  0.3942  1 Ti 1.98, 3 Li 2.10-2.19, 1 Fe 2.13
O  0.1200  0.7644  0.2156  1 Ti 1.95, 2 Li 2.04-2.17, 2 Fe 2.12-2.16
O  0.2356  0.2644  0.9844  1 Ti 1.95, 2 Li 2.04-2.17, 2 Fe 2.12-2.16
O  0.3399  0.7281  0.8058  1 Ti 1.98, 3 Li 2.10-2.19, 1 Fe 2.13
Ti  0.7986  0.0006  0.3930  5 O 1.94-2.15
Ti  0.0916  0.5006  0.8071  5 O 1.94-2.15
Li  0.0064  0.9985  0.9946  6 O 2.04-2.20
Li  0.1993  0.0002  0.6015  6 O 2.08-2.19
Li  0.7009  0.5002  0.5984  6 O 2.08-2.19
Li  0.9010  0.4985  0.2054  6 O 2.04-2.20

V in A^3/atom: 9.5
Space group: Cc (9)
E_form in eV/atom: -2.331

=====

The following is a DFT calculation (PBE+U) of an optimized crystal structure of Li11Ti8Fe5O32.

abc: 8.3557 8.4219 8.4389
angles: 90.14 90.07 90.03
With the nearest neighbours (Å) after each atom.
Fractional positions:
Li  0.9976  0.5070  0.4947  4 O 1.93-2.05
Li  0.2485  0.7430  0.2523  4 O 1.99-2.03
Li  0.4988  0.0027  0.5006  4 O 1.99-2.03
Li  0.8838  0.3729  0.8753  6 O 2.07-2.20
Li  0.4945  0.4992  0.0004  4 O 1.97-2.02
Li  0.9992  0.0028  0.9984  4 O 1.97-2.01
Li  0.7580  0.7514  0.7496  4 O 1.99-2.04
Li  0.6252  0.8750  0.1243  6 O 2.14-2.21
Li  0.7501  0.2494  0.2527  4 O 1.99-2.04
Li  0.3664  0.6240  0.6205  6 O 2.06-2.18
Li  0.1247  0.1294  0.3775  6 O 2.10-2.19
O  0.1306  0.3849  0.8886  3 Fe 1.94-2.05, 1 Li 2.07
O  0.8608  0.3563  0.6207  2 Ti 1.89-1.96, 1 Li 2.01
O  0.8968  0.8868  0.6150  1 Fe 1.90, 1 Li 1.99, 2 Ti 2.08-2.12
O  0.1227  0.6486  0.6442  2 Fe 1.89-1.95, 2 Li 2.02-2.06
O  0.6052  0.1271  0.1052  2 Ti 1.88-1.96, 1 Li 2.02
O  0.1380  0.1531  0.1225  1 Fe 1.85, 1 Ti 2.00, 1 Li 2.01
O  0.8884  0.8546  0.1459  2 Ti 1.86-2.00, 1 Li 1.99
O  0.6409  0.8548  0.3763  2 Ti 1.86-2.00, 1 Li 2.01
O  0.6026  0.8918  0.8720  2 Ti 1.85-2.02, 1 Li 2.04
O  0.3629  0.8972  0.1060  2 Ti 1.86-2.00, 1 Li 2.03
O  0.6214  0.3594  0.8554  2 Ti 1.87-1.97, 1 Li 2.00
O  0.3809  0.1163  0.8825  1 Fe 1.89, 1 Ti 2.11
O  0.1121  0.1111  0.6320  2 Fe 1.92-2.02, 1 Ti 2.07
O  0.3919  0.6006  0.3745  1 Fe 1.89, 1 Ti 1.93, 2 Li 1.99-2.10
O  0.1133  0.8714  0.4060  1 Fe 1.86, 1 Ti 1.99, 1 Li 2.03
O  0.1469  0.3779  0.3515  2 Fe 1.90-1.93, 2 Li 2.05-2.11
O  0.9014  0.6219  0.8927  1 Fe 1.86, 1 Ti 1.96, 1 Li 2.02
O  0.6268  0.6075  0.6091  2 Ti 1.86-1.97, 1 Li 2.02
O  0.6455  0.6200  0.1375  2 Ti 1.84-2.04, 1 Li 1.99
O  0.3743  0.1485  0.3571  1 Ti 1.87, 1 Fe 1.92, 1 Li 2.02
O  0.6053  0.3846  0.3900  1 Fe 1.92, 1 Li 2.03, 2 Ti 2.09-2.11
O  0.3833  0.3709  0.6160  2 Fe 1.90-2.05, 1 Ti 2.07
O  0.1323  0.8677  0.8550  2 Fe 1.93-2.03, 1 Li 2.00, 1 Ti 2.10
O  0.3470  0.8775  0.6407  1 Fe 1.87, 1 Ti 1.98, 1 Li 2.03
O  0.8741  0.1033  0.3920  2 Ti 1.90-1.93, 2 Li 1.99-2.11
O  0.8564  0.1252  0.8590  2 Ti 1.83-2.03, 1 Li 1.97
O  0.8612  0.6344  0.3605  1 Li 1.93, 3 Ti 2.01-2.07
O  0.1197  0.6023  0.1091  2 Fe 1.94-1.99, 1 Li 2.00, 1 Ti 2.13
O  0.6398  0.1348  0.6375  2 Ti 1.90-2.09, 1 Li 1.99
O  0.3552  0.3630  0.1298  2 Fe 1.90-2.06, 1 Li 1.97, 1 Ti 2.09
O  0.3498  0.6436  0.8743  1 Ti 1.89, 1 Fe 1.90, 1 Li 2.02
O  0.9052  0.3881  0.1280  1 Fe 1.87, 1 Ti 1.98, 1 Li 2.04
Ti  0.3831  0.8659  0.8723  4 O 1.85-2.00
Ti  0.8659  0.1322  0.6185  6 O 1.89-2.08
Ti  0.6198  0.6347  0.3773  5 O 1.86-2.04
Ti  0.3738  0.1156  0.1374  4 O 1.86-2.00
Ti  0.6392  0.1285  0.8850  4 O 1.83-2.02
Ti  0.8657  0.6192  0.1228  5 O 1.84-2.01
Ti  0.8790  0.8794  0.3647  5 O 1.86-2.07
Ti  0.6294  0.3885  0.6363  4 O 1.86-2.07
Fe  0.1239  0.8720  0.6263  6 O 1.86-2.02
Fe  0.3768  0.3762  0.3733  6 O 1.89-2.06
Fe  0.1233  0.6274  0.8748  6 O 1.86-2.05
Fe  0.2529  0.2458  0.7516  4 O 1.89-1.94
Fe  0.1279  0.3726  0.1267  6 O 1.85-2.01

V in A^3/atom: 10.6
Space group: P1 (1)
E_form in eV/atom: -2.574

=====

The following is a DFT calculation (PBE+U) of an optimized crystal structure of Li3TiFe2O6.

abc: 6.7024 6.7024 6.0243
angles: 76.83 76.83 25.74
With the nearest neighbours (Å) after each atom.
Fractional positions:
Ti  0.0000  0.0000  0.5000  6 O 1.97-2.01
Li  0.3321  0.3321  0.3311  6 O 2.14-2.25
Li  0.0000  0.0000  0.0000  6 O 2.12-2.24
Li  0.6679  0.6679  0.6689  6 O 2.14-2.25
O  0.8336  0.8336  0.0741  3 Fe 2.05-2.06, 3 Li 2.12-2.15
O  0.5000  0.5000  0.7228  2 Ti 2.01, 3 Li 2.14-2.24, 1 Fe 2.19
O  0.5000  0.5000  0.2772  2 Ti 2.01, 3 Li 2.14-2.24, 1 Fe 2.19
O  0.8450  0.8450  0.5863  1 Ti 1.97, 2 Fe 2.12, 2 Li 2.18
O  0.1550  0.1550  0.4137  1 Ti 1.97, 2 Fe 2.12, 2 Li 2.18
O  0.1664  0.1664  0.9259  3 Fe 2.05-2.06, 3 Li 2.12-2.15
Fe  0.6713  0.6713  0.1570  6 O 2.05-2.19
Fe  0.3287  0.3287  0.8430  6 O 2.05-2.19

V in A^3/atom: 9.5
Space group: C2/m (12)
E_form in eV/atom: -2.322